An optimized crystal structure of Th3Co4Sn13. Source: the Materials Project, functional PBE-GGA.

Values from the calculation:
V   22.43 Å³ per atom
Space-group type   Pm-3n, No. 223
Energy relative to the elements   -0.311 eV per atom
VASP energy   -5.4512 eV per atom

a = 9.644 Å, b = 9.644 Å, c = 9.644 Å
α = 90.00°, β = 90.00°, γ = 90.00°
Positions (direct):
Th 0.000 0.250 0.500
Th 0.000 0.750 0.500
Th 0.250 0.500 0.000
Th 0.500 0.000 0.250
Th 0.500 0.000 0.750
Th 0.750 0.500 0.000
Co 0.250 0.250 0.250
Co 0.250 0.250 0.750
Co 0.250 0.750 0.250
Co 0.250 0.750 0.750
Co 0.750 0.250 0.250
Co 0.750 0.250 0.750
Co 0.750 0.750 0.250
Co 0.750 0.750 0.750
Sn 0.000 0.000 0.000
Sn 0.000 0.304 0.156
Sn 0.000 0.304 0.844
Sn 0.000 0.696 0.156
Sn 0.000 0.696 0.844
Sn 0.156 0.000 0.304
Sn 0.156 0.000 0.696
Sn 0.196 0.500 0.344
Sn 0.196 0.500 0.656
Sn 0.304 0.156 0.000
Sn 0.304 0.844 0.000
Sn 0.344 0.196 0.500
Sn 0.344 0.804 0.500
Sn 0.500 0.344 0.196
Sn 0.500 0.344 0.804
Sn 0.500 0.500 0.500
Sn 0.500 0.656 0.196
Sn 0.500 0.656 0.804
Sn 0.656 0.196 0.500
Sn 0.656 0.804 0.500
Sn 0.696 0.156 0.000
Sn 0.696 0.844 0.000
Sn 0.804 0.500 0.344
Sn 0.804 0.500 0.656
Sn 0.844 0.000 0.304
Sn 0.844 0.000 0.696

---

An optimized crystal structure of Ti5CoSn3. Source: the Materials Project, functional PBE-GGA.

Values from the calculation:
V   17.74 Å³ per atom
Space-group type   P6_3/mcm, No. 193
Energy relative to the elements   -0.374 eV per atom
VASP energy   -6.8870 eV per atom

a = 8.236 Å, b = 8.236 Å, c = 5.437 Å
α = 90.00°, β = 90.00°, γ = 120.00°
Positions (direct):
Ti 0.000 0.247 0.250
Ti 0.000 0.753 0.750
Ti 0.247 0.000 0.250
Ti 0.247 0.247 0.750
Ti 0.333 0.667 0.000
Ti 0.333 0.667 0.500
Ti 0.667 0.333 0.000
Ti 0.667 0.333 0.500
Ti 0.753 0.000 0.750
Ti 0.753 0.753 0.250
Co 0.000 0.000 0.000
Co 0.000 0.000 0.500
Sn 0.000 0.395 0.750
Sn 0.000 0.605 0.250
Sn 0.395 0.000 0.750
Sn 0.395 0.395 0.250
Sn 0.605 0.000 0.250
Sn 0.605 0.605 0.750

---

An optimized crystal structure of TiCoSn. Source: the Materials Project, functional PBE-GGA.

Values from the calculation:
V   17.56 Å³ per atom
Space-group type   F-43m, No. 216
Energy relative to the elements   -0.324 eV per atom
VASP energy   -6.6623 eV per atom

a = 4.208 Å, b = 4.208 Å, c = 4.208 Å
α = 60.00°, β = 60.00°, γ = 60.00°
Positions (direct):
Ti 0.000 0.000 0.000
Co 0.750 0.750 0.750
Sn 0.500 0.500 0.500